First-principles (PBE+U) data for an optimized crystal structure of MnV2O6, as listed in Materials Project.

Unit cell a=14.6649 b=3.5955 c=9.6937 alpha=90.00 beta=113.12 gamma=90.00
Last column: nearest neighbours and their distance in Å.
Space group C2/m (No. 12)
Unique sites:
Mn 0.2502 0.0000 0.2497  6 O 2.10-2.27
V 0.0853 0.0000 0.8671  2 O 1.68-1.71
V 0.0856 0.5000 0.3669  2 O 1.68-1.71
O 0.0431 0.0000 0.3244  3 V 1.89-2.06
O 0.0430 0.5000 0.8244  3 V 1.89-2.06
O 0.1197 0.0000 0.0542  1 V 1.68
O 0.1197 0.5000 0.5543  1 V 1.68
O 0.1906 0.0000 0.8312  1 V 1.71
O 0.1906 0.5000 0.3312  1 V 1.71

Results
The density comes out at 3.57 g/cm3. The value obtained for the uncorrected energy is -274.9 eV per cell. The energy of formation from the pure elements comes out at -20.9 eV/f.u.

---

First-principles (PBE+U) data for an optimized crystal structure of LiLa4CoO8, as listed in Materials Project.

Unit cell a=5.3694 b=12.7992 c=12.8047 alpha=60.46 beta=78.15 gamma=78.20
Last column: nearest neighbours and their distance in Å.
Space group P1 (No. 1)
Unique sites:
Li 0.0000 0.0000 0.0000  4 O 1.93-1.95
Li 0.2474 0.7506 0.7504  4 O 1.88-1.94
Li 0.5021 0.4996 0.4994  4 O 1.89-1.94
Li 0.7496 0.2499 0.2499  4 O 1.93-1.95
La 0.0038 0.3620 0.6376  5 O 2.34-2.61
La 0.0044 0.6368 0.3617  5 O 2.34-2.61
La 0.1226 0.0123 0.7375  5 O 2.36-2.60
La 0.1261 0.7376 0.0123  5 O 2.36-2.60
La 0.2496 0.1121 0.3879  2 O 2.32-2.60
La 0.2498 0.3879 0.1110  1 O 2.32
La 0.3746 0.4894 0.7607  5 O 2.38-2.60
La 0.3750 0.7609 0.4891  5 O 2.38-2.60
La 0.4999 0.1378 0.8617  2 O 2.32-2.60
La 0.5006 0.8617 0.1381  1 O 2.32
La 0.6251 0.2382 0.5120  5 O 2.36-2.60
La 0.6254 0.5119 0.2380  5 O 2.36-2.59
La 0.7452 0.6133 0.8883  5 O 2.34-2.61
La 0.7450 0.8885 0.6129  5 O 2.34-2.61
La 0.8732 0.2623 0.9874  5 O 2.42-2.59
La 0.8766 0.9874 0.2624  5 O 2.42-2.59
Co 0.1253 0.3746 0.3745  4 O 1.85-1.86
Co 0.3749 0.1249 0.1249  4 O 1.85-1.86
Co 0.6243 0.8754 0.8753  4 O 1.85-1.86
Co 0.8747 0.6253 0.6250  4 O 1.86-1.94
O 0.9998 0.1815 0.8196  1 Li 2.33, 1 La 2.34
O 0.0002 0.8197 0.1814  1 Li 2.33, 1 La 2.34
O 0.0564 0.6871 0.6870  1 Co 1.86, 1 Li 1.92
O 0.0679 0.1856 0.1851  1 Co 1.86, 1 Li 1.95
O 0.1254 0.1955 0.5541  1 Co 2.31, 1 La 2.36
O 0.1247 0.5546 0.1958  1 Co 2.31, 1 La 2.36
O 0.1888 0.0646 0.0640  1 Co 1.85, 1 Li 1.93
O 0.1933 0.5616 0.5617  1 Li 1.89, 1 Co 1.94
O 0.2484 0.5687 0.9319  1 La 2.32, 1 Li 2.34
O 0.2482 0.9320 0.5686  1 La 2.32, 1 Li 2.34
O 0.3101 0.4354 0.4353  1 Co 1.85, 1 Li 1.94
O 0.3188 0.9360 0.9359  1 Co 1.86, 1 Li 1.95
O 0.3741 0.9454 0.3042  1 Co 2.31, 1 La 2.38
O 0.3755 0.3047 0.9456  1 Co 2.31, 1 La 2.38
O 0.4308 0.3138 0.3136  1 Co 1.86, 1 Li 1.94
O 0.4385 0.8150 0.8147  1 Co 1.85, 1 Li 1.94
O 0.5011 0.3179 0.6816  1 La 2.32, 1 Li 2.35
O 0.5012 0.6816 0.3178  1 La 2.32, 1 Li 2.34
O 0.5561 0.6884 0.6884  1 Li 1.88, 1 Co 1.94
O 0.5611 0.1852 0.1857  1 Co 1.85, 1 Li 1.93
O 0.6237 0.6951 0.0545  1 Co 2.32, 1 La 2.36
O 0.6254 0.0548 0.6953  1 Co 2.32, 1 La 2.36
O 0.6817 0.0644 0.0644  1 Co 1.86, 1 Li 1.95
O 0.6932 0.5630 0.5630  1 Co 1.86, 1 Li 1.93
O 0.7498 0.0682 0.4304  1 Li 2.33, 1 La 2.34
O 0.7496 0.4304 0.0681  1 Li 2.34, 1 La 2.34
O 0.8100 0.9360 0.9360  1 Co 1.85, 1 Li 1.93
O 0.8204 0.4356 0.4356  1 Co 1.86, 1 Li 1.94
O 0.8750 0.4504 0.7994  1 Co 2.25, 1 La 2.42
O 0.8746 0.7995 0.4505  1 Co 2.25, 1 La 2.42
O 0.9293 0.8145 0.8145  1 Co 1.86, 1 Li 1.94
O 0.9405 0.3137 0.3136  1 Co 1.85, 1 Li 1.93

Results
The density comes out at 6.69 g/cm3. The value obtained for the uncorrected energy is -425.6 eV per cell. The energy above the lowest structure with this stoichiometry is 5 kJ/mol of formula units. The energy of formation from the pure elements comes out at -45.2 eV/f.u.

---

First-principles (PBE+U) data for an optimized crystal structure of Li3Fe8B8O24, as listed in Materials Project.

Unit cell a=5.2259 b=9.0745 c=11.3888 alpha=112.76 beta=103.21 gamma=90.63
Last column: nearest neighbours and their distance in Å.
Space group P1 (No. 1)
Unique sites:
Li 0.0000 0.0000 0.0000  4 O 1.99-2.07
Li 0.2175 0.2443 0.5035  3 O 1.90-2.05
Li 0.7755 0.4783 0.2607  4 O 2.02-2.08
Fe 0.0336 0.3960 0.7848  4 O 1.87-2.07
Fe 0.2486 0.6021 0.5337  5 O 1.89-2.09
Fe 0.2753 0.3021 0.2769  3 O 1.93-2.13
Fe 0.5128 0.1996 0.0289  4 O 1.96-2.17
Fe 0.5260 0.9012 0.7823  5 O 1.90-2.12
Fe 0.7260 0.0918 0.5362  4 O 1.95-2.15
Fe 0.7747 0.8259 0.2872  5 O 1.94-2.08
Fe 0.9982 0.6773 0.0361  5 O 1.94-2.08
B 0.0392 0.0685 0.7908  3 O 1.37-1.39
B 0.2259 0.9383 0.5341  3 O 1.34-1.42
B 0.2805 0.6452 0.2854  3 O 1.36-1.40
B 0.4990 0.8549 0.0336  3 O 1.38-1.40
B 0.5375 0.5633 0.7852  3 O 1.35-1.41
B 0.7486 0.4364 0.5374  3 O 1.36-1.41
B 0.7790 0.1520 0.2903  3 O 1.36-1.41
B 0.9981 0.3575 0.0378  3 O 1.36-1.42
O 0.0473 0.1639 0.3126  1 B 1.36
O 0.0989 0.7298 0.2323  1 B 1.40
O 0.1115 0.4585 0.9894  1 B 1.42
O 0.1397 0.2388 0.0632  1 B 1.40
O 0.1789 0.5435 0.3344  1 B 1.40
O 0.2338 0.8382 0.0278  1 B 1.38
O 0.3134 0.0764 0.8224  1 B 1.39
O 0.3576 0.8309 0.5839  1 B 1.42
O 0.3586 0.0710 0.5422  1 B 1.34
O 0.3836 0.4435 0.7854  1 B 1.35
O 0.4265 0.6732 0.7343  1 B 1.41
O 0.4705 0.4205 0.5070  1 B 1.41
O 0.5405 0.6573 0.2857  1 B 1.36
O 0.6053 0.9568 0.9868  1 B 1.40
O 0.6331 0.2545 0.2435  1 B 1.39
O 0.6530 0.0367 0.3190  1 B 1.41
O 0.6761 0.7678 0.0858  1 B 1.40
O 0.7586 0.3846 0.0645  1 B 1.36
O 0.8143 0.5807 0.8353  1 B 1.41
O 0.8826 0.3290 0.5842  1 B 1.40
O 0.8886 0.5505 0.5200  1 B 1.36
O 0.8914 0.9567 0.8087  1 B 1.37
O 0.9188 0.1753 0.7427  1 B 1.38
O 0.9544 0.9027 0.4777  1 B 1.39

Results
The density comes out at 3.23 g/cm3. The value obtained for the uncorrected energy is -307.8 eV per cell. The energy above the lowest structure with this stoichiometry is 33 kJ/mol of formula units. The energy of formation from the pure elements comes out at -96.6 eV/f.u.

---

First-principles (PBE+U) data for an optimized crystal structure of Li3Fe4B4O12, as listed in Materials Project.

Unit cell a=5.2350 b=9.0774 c=11.3727 alpha=112.61 beta=102.24 gamma=90.03
Last column: nearest neighbours and their distance in Å.
Space group P1 (No. 1)
Unique sites:
Li 0.0000 0.0000 0.0000  4 O 2.00-2.05
Li 0.0365 0.0336 0.7449  3 O 1.95-2.04
Li 0.2297 0.2633 0.5028  4 O 1.93-2.03
Li 0.2712 0.2924 0.2473  4 O 1.98-2.03
Li 0.7219 0.7542 0.4939  4 O 1.93-2.15
Li 0.7684 0.7821 0.2298  3 O 1.90-1.99
Fe 0.0032 0.6764 0.7127  4 O 2.00-2.19
Fe 0.2191 0.9129 0.4671  5 O 2.01-2.24
Fe 0.2771 0.6074 0.2166  4 O 1.98-2.20
Fe 0.4693 0.8107 0.9589  4 O 1.86-2.00
Fe 0.5152 0.2062 0.7225  3 O 1.93-2.10
Fe 0.7090 0.4068 0.4707  4 O 2.00-2.20
Fe 0.7696 0.1060 0.2220  4 O 2.01-2.13
Fe 0.9791 0.3301 0.9702  5 O 1.93-2.08
B 0.0090 0.3546 0.7133  3 O 1.35-1.43
B 0.2122 0.5676 0.4598  3 O 1.39
B 0.2602 0.9372 0.2084  3 O 1.38-1.40
B 0.4778 0.1459 0.9653  3 O 1.38-1.40
B 0.5091 0.8676 0.7172  3 O 1.38-1.40
B 0.7196 0.0679 0.4602  3 O 1.38-1.40
B 0.7618 0.4402 0.2128  3 O 1.36-1.43
B 0.9714 0.6591 0.9729  3 O 1.36-1.41
O 0.0019 0.4084 0.1699  1 B 1.43
O 0.0921 0.7673 0.9356  1 B 1.41
O 0.1119 0.5432 0.0018  1 B 1.39
O 0.1352 0.0674 0.1966  1 B 1.39
O 0.1480 0.8337 0.2496  1 B 1.38
O 0.2085 0.1498 0.9578  1 B 1.40
O 0.2514 0.3418 0.6888  1 B 1.35
O 0.3213 0.4233 0.4426  1 B 1.39
O 0.3321 0.6807 0.4290  1 B 1.39
O 0.3544 0.9748 0.6806  1 B 1.40
O 0.3939 0.7737 0.7690  1 B 1.40
O 0.4844 0.0992 0.4986  1 B 1.39
O 0.5012 0.9091 0.1724  1 B 1.40
O 0.6120 0.2492 0.9320  1 B 1.38
O 0.6173 0.0323 0.0013  1 B 1.40
O 0.6476 0.3290 0.2470  1 B 1.39
O 0.6537 0.5792 0.2215  1 B 1.36
O 0.7183 0.6729 0.9839  1 B 1.36
O 0.7644 0.8565 0.7028  1 B 1.38
O 0.8301 0.9266 0.4507  1 B 1.38
O 0.8450 0.1800 0.4291  1 B 1.40
O 0.8451 0.4593 0.6807  1 B 1.38
O 0.9169 0.2548 0.7693  1 B 1.43
O 0.9798 0.5957 0.5024  1 B 1.39

Results
The density comes out at 3.28 g/cm3. The value obtained for the uncorrected energy is -322.5 eV per cell. The energy above the lowest structure with this stoichiometry is 17 kJ/mol of formula units. The energy of formation from the pure elements comes out at -52.8 eV/f.u.

---

First-principles (PBE+U) data for an optimized crystal structure of K2MgMn2O4, as listed in Materials Project.

Unit cell a=3.1245 b=6.7296 c=8.7272 alpha=99.02 beta=90.26 gamma=90.59
Last column: nearest neighbours and their distance in Å.
Space group P1 (No. 1)
Unique sites:
K 0.0000 0.0000 0.0000  5 O 2.70-2.83
K 0.4988 0.3363 0.3127  3 O 2.60-2.67
Mg 0.4915 0.6711 0.6536  3 O 1.89-1.97
Mn 0.9996 0.4879 0.9455  4 O 2.02-2.15
Mn 0.4830 0.8748 0.3907  2 O 1.99
O 0.4990 0.3319 0.0143  2 Mn 2.02-2.03
O 0.4994 0.6683 0.8701  1 Mg 1.89
O 0.9847 0.0170 0.3168  2 Mn 1.99
O 0.9903 0.6901 0.5190  2 Mg 1.97

Results
The density comes out at 2.53 g/cm3. The value obtained for the uncorrected energy is -51.8 eV per cell. The energy of formation from the pure elements comes out at -15.9 eV/f.u.